No. 1
First-principles (PBE with a Hubbard U) data for a relaxed Mg6MnCdO8 crystal, as listed in the Materials Project database.

a b c (Å): 4.393 4.393 8.746
angles (deg): 90.00 90.00 90.00
Space group P4/mmm (No. 123)
Asymmetric unit:
1 Mg 0.000 0.000 0.000 (multiplicity 1)
2 Mg 0.000 0.500 0.242 (multiplicity 4)
3 Mg 0.500 0.500 0.000 (multiplicity 1)
4 Mn 0.000 0.000 0.500 (multiplicity 1)
5 Cd 0.500 0.500 0.500 (multiplicity 1)
6 O 0.000 0.000 0.242 (multiplicity 2)
7 O 0.000 0.500 0.000 (multiplicity 2)
8 O 0.000 0.500 0.500 (multiplicity 2)
9 O 0.500 0.500 0.233 (multiplicity 2)

E: -0.433 Ry/atom
E_form: -42.25 eV per formula unit
Magnetic moment: 5.0 μB/f.u.
Corrected total energy (MP2020 scheme): -101.5 eV for the cell shown

=====

No. 2
First-principles (PBE with a Hubbard U) data for a relaxed CaNbVSnO6 crystal, as listed in the Materials Project database.

a b c (Å): 7.993 7.993 7.993
angles (deg): 90.00 90.00 90.00
Space group F-43m (No. 216)
Asymmetric unit:
1 Ca 0.000 0.000 0.000 (multiplicity 4)
2 Nb 0.250 0.250 0.250 (multiplicity 4)
3 V 0.250 0.250 0.750 (multiplicity 4)
4 Sn 0.000 0.000 0.500 (multiplicity 4)
5 O 0.001 0.250 0.750 (multiplicity 24)

E: -0.550 Ry/atom
E_form: -25.82 eV per formula unit
Magnetic moment: 2.0 μB/f.u.
Corrected total energy (MP2020 scheme): -322.8 eV for the cell shown

=====

No. 3
First-principles (PBE with a Hubbard U) data for a relaxed Mn5SbP6O24 crystal, as listed in the Materials Project database.

a b c (Å): 8.6777 8.6777 21.3641
angles (deg): 90.00 90.00 120.00
Space group R3 (No. 146, hexagonal axes)
Asymmetric unit:
1 Mn 0.0000 0.0000 0.0000 (multiplicity 3)
2 Mn 0.0000 0.0000 0.1402 (multiplicity 3)
3 Mn 0.0000 0.0000 0.5019 (multiplicity 3)
4 Mn 0.0000 0.0000 0.6466 (multiplicity 3)
5 Mn 0.0000 0.0000 0.7914 (multiplicity 3)
6 Sb 0.0000 0.0000 0.2901 (multiplicity 3)
7 P 0.0012 0.2958 0.3971 (multiplicity 9)
8 P 0.0434 0.6707 0.5634 (multiplicity 9)
9 O 0.0028 0.1985 0.3350 (multiplicity 9)
10 O 0.0070 0.8010 0.8361 (multiplicity 9)
11 O 0.0138 0.8325 0.5685 (multiplicity 9)
12 O 0.0228 0.1864 0.0665 (multiplicity 9)
13 O 0.1367 0.6718 0.6236 (multiplicity 9)
14 O 0.1379 0.4698 0.1221 (multiplicity 9)
15 O 0.1682 0.4812 0.3894 (multiplicity 9)
16 O 0.1710 0.6849 0.8927 (multiplicity 9)

E: -0.537 Ry/atom
E_form: -86.71 eV per formula unit
Magnetic moment: 22.0 μB/f.u.
Corrected total energy (MP2020 scheme): -863.6 eV for the cell shown

=====

No. 4
First-principles (PBE with a Hubbard U) data for a relaxed Na2MoO4 crystal, as listed in the Materials Project database.

a b c (Å): 9.245 9.245 9.245
angles (deg): 90.00 90.00 90.00
Space group Fd-3m (No. 227, origin choice 2)
Asymmetric unit:
1 Na 0.000 0.000 0.000 (multiplicity 16)
2 Mo 0.125 0.125 0.625 (multiplicity 8)
3 O 0.012 0.012 0.738 (multiplicity 32)

E: -0.445 Ry/atom
E_form: -15.09 eV per formula unit
Corrected total energy (MP2020 scheme): -387.0 eV for the cell shown

=====

No. 5
First-principles (PBE with a Hubbard U) data for a relaxed MgFe8O14F2 crystal, as listed in the Materials Project database.

a b c (Å): 5.746 7.315 7.685
angles (deg): 82.63 71.05 71.24
Space group P1 (No. 1)
Asymmetric unit:
1 Mg 0.000 0.000 0.000 (multiplicity 1)
2 Fe 0.067 0.372 0.665 (multiplicity 1)
3 Fe 0.139 0.847 0.624 (multiplicity 1)
4 Fe 0.384 0.590 0.863 (multiplicity 1)
5 Fe 0.480 0.113 0.825 (multiplicity 1)
6 Fe 0.552 0.889 0.196 (multiplicity 1)
7 Fe 0.635 0.390 0.132 (multiplicity 1)
8 Fe 0.888 0.125 0.384 (multiplicity 1)
9 Fe 0.958 0.602 0.328 (multiplicity 1)
10 O 0.049 0.761 0.871 (multiplicity 1)
11 O 0.069 0.618 0.536 (multiplicity 1)
12 O 0.177 0.103 0.742 (multiplicity 1)
13 O 0.237 0.951 0.386 (multiplicity 1)
14 O 0.283 0.533 0.122 (multiplicity 1)
15 O 0.314 0.379 0.779 (multiplicity 1)
16 O 0.470 0.711 0.632 (multiplicity 1)
17 O 0.610 0.110 0.032 (multiplicity 1)
18 O 0.698 0.611 0.216 (multiplicity 1)
19 O 0.724 0.458 0.861 (multiplicity 1)
20 O 0.795 0.017 0.635 (multiplicity 1)
21 O 0.852 0.885 0.273 (multiplicity 1)
22 O 0.949 0.352 0.463 (multiplicity 1)
23 O 0.971 0.219 0.139 (multiplicity 1)
24 F 0.392 0.874 0.986 (multiplicity 1)
25 F 0.519 0.271 0.389 (multiplicity 1)

E: -0.455 Ry/atom
E_form: -40.84 eV per formula unit
Magnetic moment: 36.0 μB/f.u.
Corrected total energy (MP2020 scheme): -183.3 eV for the cell shown

=====

No. 6
First-principles (PBE with a Hubbard U) data for a relaxed V3Cd5P6O25 crystal, as listed in the Materials Project database.

a b c (Å): 17.146 4.807 24.634
angles (deg): 90.00 103.12 90.00
Space group C2/c (No. 15)
Asymmetric unit:
1 V 0.000 0.060 0.250 (multiplicity 4)
2 V 0.231 0.004 0.087 (multiplicity 8)
3 Cd 0.000 0.000 0.000 (multiplicity 4)
4 Cd 0.060 0.476 0.884 (multiplicity 8)
5 Cd 0.167 0.474 0.709 (multiplicity 8)
6 P 0.072 0.044 0.141 (multiplicity 8)
7 P 0.150 0.476 0.503 (multiplicity 8)
8 P 0.176 0.013 0.825 (multiplicity 8)
9 O 0.000 0.281 0.750 (multiplicity 4)
10 O 0.003 0.141 0.092 (multiplicity 8)
11 O 0.063 0.195 0.197 (multiplicity 8)
12 O 0.064 0.274 0.648 (multiplicity 8)
13 O 0.069 0.375 0.978 (multiplicity 8)
14 O 0.095 0.150 0.312 (multiplicity 8)
15 O 0.135 0.210 0.536 (multiplicity 8)
16 O 0.156 0.136 0.136 (multiplicity 8)
17 O 0.168 0.269 0.862 (multiplicity 8)
18 O 0.183 0.380 0.452 (multiplicity 8)
19 O 0.201 0.113 0.771 (multiplicity 8)
20 O 0.210 0.337 0.042 (multiplicity 8)
21 O 0.244 0.186 0.354 (multiplicity 8)

E: -0.492 Ry/atom
E_form: -95.07 eV per formula unit
Magnetic moment: 5.0 μB/f.u.
Corrected total energy (MP2020 scheme): -1132.5 eV for the cell shown

=====

No. 7
First-principles (PBE with a Hubbard U) data for a relaxed Li5Fe8B8O24 crystal, as listed in the Materials Project database.

a b c (Å): 5.211 5.256 20.269
angles (deg): 90.85 90.11 119.60
Space group P1 (No. 1)
Asymmetric unit:
1 Li 0.000 0.000 0.000 (multiplicity 1)
2 Li 0.001 0.999 0.502 (multiplicity 1)
3 Li 0.660 0.693 0.125 (multiplicity 1)
4 Li 0.667 0.698 0.629 (multiplicity 1)
5 Li 0.975 0.024 0.255 (multiplicity 1)
6 Fe 0.006 0.354 0.612 (multiplicity 1)
7 Fe 0.006 0.356 0.111 (multiplicity 1)
8 Fe 0.322 0.020 0.861 (multiplicity 1)
9 Fe 0.335 0.021 0.362 (multiplicity 1)
10 Fe 0.336 0.669 0.484 (multiplicity 1)
11 Fe 0.336 0.669 0.982 (multiplicity 1)
12 Fe 0.641 0.355 0.237 (multiplicity 1)
13 Fe 0.651 0.347 0.738 (multiplicity 1)
14 B 0.322 0.686 0.236 (multiplicity 1)
15 B 0.325 0.688 0.736 (multiplicity 1)
16 B 0.330 0.014 0.611 (multiplicity 1)
17 B 0.330 0.018 0.109 (multiplicity 1)
18 B 0.669 0.348 0.484 (multiplicity 1)
19 B 0.670 0.348 0.984 (multiplicity 1)
20 B 0.989 0.352 0.858 (multiplicity 1)
21 B 0.995 0.356 0.359 (multiplicity 1)
22 O 0.013 0.107 0.858 (multiplicity 1)
23 O 0.027 0.113 0.351 (multiplicity 1)
24 O 0.053 0.454 0.717 (multiplicity 1)
25 O 0.059 0.004 0.103 (multiplicity 1)
26 O 0.064 0.007 0.602 (multiplicity 1)
27 O 0.069 0.422 0.221 (multiplicity 1)
28 O 0.221 0.621 0.878 (multiplicity 1)
29 O 0.228 0.621 0.380 (multiplicity 1)
30 O 0.299 0.928 0.258 (multiplicity 1)
31 O 0.337 0.948 0.757 (multiplicity 1)
32 O 0.351 0.770 0.093 (multiplicity 1)
33 O 0.355 0.770 0.594 (multiplicity 1)
34 O 0.403 0.094 0.464 (multiplicity 1)
35 O 0.407 0.094 0.962 (multiplicity 1)
36 O 0.576 0.666 0.729 (multiplicity 1)
37 O 0.579 0.269 0.635 (multiplicity 1)
38 O 0.579 0.275 0.131 (multiplicity 1)
39 O 0.598 0.712 0.227 (multiplicity 1)
40 O 0.681 0.611 0.986 (multiplicity 1)
41 O 0.682 0.613 0.487 (multiplicity 1)
42 O 0.722 0.340 0.838 (multiplicity 1)
43 O 0.725 0.335 0.343 (multiplicity 1)
44 O 0.912 0.321 0.503 (multiplicity 1)
45 O 0.914 0.322 0.002 (multiplicity 1)

E: -0.519 Ry/atom
E_form: -102.82 eV per formula unit
Magnetic moment: 35.0 μB/f.u.
Corrected total energy (MP2020 scheme): -352.3 eV for the cell shown

=====

No. 8
First-principles (PBE with a Hubbard U) data for a relaxed Li3Fe3O8 crystal, as listed in the Materials Project database.

a b c (Å): 5.842 5.912 10.139
angles (deg): 89.52 73.35 60.40
Space group P1 (No. 1)
Asymmetric unit:
1 Li 0.000 0.000 0.000 (multiplicity 1)
2 Li 0.000 0.500 0.500 (multiplicity 1)
3 Li 0.383 0.031 0.188 (multiplicity 1)
4 Li 0.397 0.535 0.689 (multiplicity 1)
5 Li 0.604 0.466 0.311 (multiplicity 1)
6 Li 0.618 0.969 0.812 (multiplicity 1)
7 Fe 0.000 0.001 0.500 (multiplicity 1)
8 Fe 0.000 0.500 0.000 (multiplicity 1)
9 Fe 0.004 0.256 0.750 (multiplicity 1)
10 Fe 0.500 0.000 0.500 (multiplicity 1)
11 Fe 0.500 0.500 0.000 (multiplicity 1)
12 Fe 0.996 0.745 0.250 (multiplicity 1)
13 O 0.198 0.669 0.375 (multiplicity 1)
14 O 0.207 0.171 0.878 (multiplicity 1)
15 O 0.224 0.383 0.117 (multiplicity 1)
16 O 0.244 0.610 0.896 (multiplicity 1)
17 O 0.248 0.109 0.396 (multiplicity 1)
18 O 0.251 0.823 0.122 (multiplicity 1)
19 O 0.261 0.329 0.619 (multiplicity 1)
20 O 0.272 0.886 0.616 (multiplicity 1)
21 O 0.728 0.115 0.385 (multiplicity 1)
22 O 0.739 0.671 0.381 (multiplicity 1)
23 O 0.749 0.177 0.878 (multiplicity 1)
24 O 0.752 0.892 0.604 (multiplicity 1)
25 O 0.756 0.390 0.104 (multiplicity 1)
26 O 0.776 0.617 0.883 (multiplicity 1)
27 O 0.793 0.829 0.122 (multiplicity 1)
28 O 0.803 0.332 0.625 (multiplicity 1)

E: -0.425 Ry/atom
E_form: -22.46 eV per formula unit
Magnetic moment: 11.0 μB/f.u.
Corrected total energy (MP2020 scheme): -186.4 eV for the cell shown

=====

Among the records above, which one has the highest corrected total energy (MP2020 scheme)? Mg6MnCdO8

=====

Which of these has the highest E_form? Na2MoO4

=====

Copy entry 3 word for word.
First-principles (PBE with a Hubbard U) data for a relaxed Mn5SbP6O24 crystal, as listed in the Materials Project database.

a b c (Å): 8.6777 8.6777 21.3641
angles (deg): 90.00 90.00 120.00
Space group R3 (No. 146, hexagonal axes)
Asymmetric unit:
1 Mn 0.0000 0.0000 0.0000 (multiplicity 3)
2 Mn 0.0000 0.0000 0.1402 (multiplicity 3)
3 Mn 0.0000 0.0000 0.5019 (multiplicity 3)
4 Mn 0.0000 0.0000 0.6466 (multiplicity 3)
5 Mn 0.0000 0.0000 0.7914 (multiplicity 3)
6 Sb 0.0000 0.0000 0.2901 (multiplicity 3)
7 P 0.0012 0.2958 0.3971 (multiplicity 9)
8 P 0.0434 0.6707 0.5634 (multiplicity 9)
9 O 0.0028 0.1985 0.3350 (multiplicity 9)
10 O 0.0070 0.8010 0.8361 (multiplicity 9)
11 O 0.0138 0.8325 0.5685 (multiplicity 9)
12 O 0.0228 0.1864 0.0665 (multiplicity 9)
13 O 0.1367 0.6718 0.6236 (multiplicity 9)
14 O 0.1379 0.4698 0.1221 (multiplicity 9)
15 O 0.1682 0.4812 0.3894 (multiplicity 9)
16 O 0.1710 0.6849 0.8927 (multiplicity 9)

E: -0.537 Ry/atom
E_form: -86.71 eV per formula unit
Magnetic moment: 22.0 μB/f.u.
Corrected total energy (MP2020 scheme): -863.6 eV for the cell shown